Material: VTeH11N2O8
Method: DFT, GGA+U
State: optimized geometry

Cell lengths 7.4832, 17.1176, 7.6210 Å; angles 90.00, 120.21, 90.00 degrees
With the nearest neighbours (Å) after each atom.
Fractional coordinates of all 92 atoms:
O  0.2839  0.7252  0.8917  2 H 0.99-1.00
O  0.7614  0.3881  0.3790  1 H 1.76, 1 Te 1.93
H  0.2513  0.2551  0.6672  1 N 1.05
H  0.1783  0.8638  0.4530  1 N 1.04
O  0.7161  0.2748  0.1083  2 H 0.99-1.00
H  0.8217  0.3638  0.0470  1 N 1.04
H  0.0097  0.5608  0.8306  1 N 1.06
H  0.0256  0.8939  0.5442  1 N 1.04
H  0.3808  0.4496  0.0278  1 O 1.00
H  0.4729  0.2336  0.8924  1 N 1.04
H  0.2457  0.3027  0.3505  1 N 1.05
H  0.6192  0.9496  0.4722  1 O 1.00
H  0.1766  0.7657  0.8243  1 O 0.99
H  0.1783  0.6362  0.9530  1 N 1.04
H  0.8234  0.2657  0.6757  1 O 0.99
H  0.2148  0.9529  0.5657  1 N 1.03
N  0.3298  0.2123  0.7798  4 H 1.04-1.05
O  0.9030  0.5058  0.6125  1 H 1.72
N  0.8942  0.0877  0.5274  4 H 1.03-1.06
V  0.9492  0.8966  0.8976  2 O 1.68-1.69
H  0.2457  0.1973  0.8505  1 N 1.05
O  0.4756  0.9302  0.9373  2 Te 2.00
H  0.2755  0.8084  0.2810  1 O 1.00
Te  0.6276  0.0178  0.8957  6 O 1.93-2.00
N  0.3298  0.2877  0.2798  4 H 1.04-1.05
Te  0.6276  0.4822  0.3957  6 O 1.93-2.00
O  0.2386  0.6119  0.6210  1 H 1.76, 1 Te 1.93
H  0.8234  0.2343  0.1757  1 O 0.99
O  0.6319  0.9488  0.3472  1 H 1.00
O  0.7614  0.1119  0.8790  1 H 1.76, 1 Te 1.93
H  0.6192  0.5504  0.9722  1 O 1.00
N  0.6702  0.7123  0.7202  4 H 1.04-1.05
O  0.9575  0.6516  0.2100  1 V 1.68, 1 H 1.76
H  0.0097  0.9392  0.3306  1 N 1.06
H  0.7487  0.7449  0.3328  1 N 1.05
H  0.7245  0.1916  0.7190  1 O 1.00
O  0.6881  0.9523  0.7246  1 H 1.72
N  0.6702  0.7877  0.2202  4 H 1.04-1.05
H  0.2513  0.2449  0.1672  1 N 1.05
O  0.1339  0.3288  0.4976  1 V 1.69, 2 H 1.70-1.76
Te  0.3724  0.9822  0.1043  6 O 1.93-2.00
O  0.9575  0.8484  0.7100  1 V 1.68, 1 H 1.76
H  0.7543  0.8027  0.1495  1 N 1.05
H  0.7487  0.7551  0.8328  1 N 1.05
N  0.1058  0.9123  0.4726  4 H 1.03-1.06
H  0.3506  0.1621  0.7163  1 N 1.04
O  0.7161  0.2252  0.6083  2 H 0.99-1.00
O  0.6881  0.5477  0.2246  1 H 1.72
H  0.2755  0.6916  0.7810  1 O 1.00
O  0.3119  0.4523  0.7754  1 H 1.72
H  0.6494  0.6621  0.7837  1 N 1.04
H  0.0256  0.6061  0.0442  1 N 1.04
H  0.8217  0.1362  0.5470  1 N 1.04
O  0.0970  0.0058  0.8875  1 H 1.72
H  0.7852  0.4529  0.9343  1 N 1.03
H  0.7245  0.3084  0.2190  1 O 1.00
O  0.8661  0.6712  0.5024  1 V 1.69, 2 H 1.70-1.76
H  0.3506  0.3379  0.2163  1 N 1.04
O  0.0425  0.1516  0.2900  1 V 1.68, 1 H 1.76
H  0.1766  0.7343  0.3243  1 O 0.99
O  0.2386  0.8881  0.1210  1 H 1.76, 1 Te 1.93
H  0.5271  0.7336  0.6076  1 N 1.04
O  0.3681  0.0512  0.6528  1 H 1.00
H  0.9903  0.0608  0.6694  1 N 1.06
H  0.4729  0.2664  0.3924  1 N 1.04
O  0.3119  0.0477  0.2754  1 H 1.72
N  0.8942  0.4123  0.0274  4 H 1.03-1.06
O  0.0970  0.4942  0.3875  1 H 1.72
O  0.6319  0.5512  0.8472  1 H 1.00
O  0.5244  0.0698  0.0627  2 Te 2.00
H  0.7852  0.0471  0.4343  1 N 1.03
V  0.0508  0.1034  0.1024  2 O 1.68-1.69
Te  0.3724  0.5178  0.6043  6 O 1.93-2.00
V  0.0508  0.3966  0.6024  2 O 1.68-1.69
O  0.4756  0.5698  0.4373  2 Te 2.00
O  0.2839  0.7748  0.3917  2 H 0.99-1.00
O  0.9030  0.9942  0.1125  1 H 1.72
H  0.9744  0.1061  0.4558  1 N 1.04
N  0.1058  0.5877  0.9726  4 H 1.03-1.06
O  0.5244  0.4302  0.5627  2 Te 2.00
H  0.3808  0.0504  0.5278  1 O 1.00
O  0.3681  0.4488  0.1528  1 H 1.00
H  0.6494  0.8379  0.2837  1 N 1.04
O  0.0425  0.3484  0.7900  1 V 1.68, 1 H 1.76
O  0.8661  0.8288  0.0024  1 V 1.69, 2 H 1.70-1.76
H  0.5271  0.7664  0.1076  1 N 1.04
H  0.2148  0.5471  0.0657  1 N 1.03
O  0.1339  0.1712  0.9976  1 V 1.69, 2 H 1.70-1.76
H  0.9744  0.3939  0.9558  1 N 1.04
H  0.9903  0.4392  0.1694  1 N 1.06
H  0.7543  0.6973  0.6495  1 N 1.05
V  0.9492  0.6034  0.3976  2 O 1.68-1.69

Calculated values
DFT total energy (eV/atom): -5.465
Total magnetic moment (Bohr magnetons per cell): 0.06
Calculated density (g/cm³): 2.721
Formation energy from the elements (kJ/mol of formula units): -2614.2